[1]
The following is a DFT calculation (PBE) of a relaxed RbPb crystal.

CIF file:
```
data_RbPb
_space_group_name_H-M_alt 'I 41/a c d'
_space_group_IT_number 142
_cell_length_a 12.146
_cell_length_b 12.146
_cell_length_c 19.908
_cell_angle_alpha 90.00
_cell_angle_beta 90.00
_cell_angle_gamma 90.00
loop_
_space_group_symop_operation_xyz
'x,y,z'
'-x,-y,-z'
'-y+1/4,x+3/4,z+1/4'
'y+1/4,-x+3/4,-z+1/4'
'-x+1/2,-y,z+1/2'
'x+1/2,y,-z+1/2'
'y+1/4,-x+1/4,z+3/4'
'-y+1/4,x+1/4,-z+3/4'
'x,-y,-z+1/2'
'-x,y,z+1/2'
'-y+1/4,-x+1/4,-z+1/4'
'y+1/4,x+1/4,z+1/4'
'-x+1/2,y,-z'
'x+1/2,-y,z'
'y+1/4,x+3/4,-z+3/4'
'-y+1/4,-x+3/4,z+3/4'
'x+1/2,y+1/2,z+1/2'
'-x+1/2,-y+1/2,-z+1/2'
'-y+3/4,x+1/4,z+3/4'
'y+3/4,-x+1/4,-z+3/4'
'-x,-y+1/2,z'
'x,y+1/2,-z'
'y+3/4,-x+3/4,z+1/4'
'-y+3/4,x+3/4,-z+1/4'
'x+1/2,-y+1/2,-z'
'-x+1/2,y+1/2,z'
'-y+3/4,-x+3/4,-z+3/4'
'y+3/4,x+3/4,z+3/4'
'-x,y+1/2,-z+1/2'
'x,-y+1/2,z+1/2'
'y+3/4,x+1/4,-z+1/4'
'-y+3/4,-x+1/4,z+1/4'
loop_
_atom_site_label
_atom_site_type_symbol
_atom_site_fract_x
_atom_site_fract_y
_atom_site_fract_z
_atom_site_occupancy
Rb1 Rb 0.121 0.129 0.125 1
Rb2 Rb 0.136 0.000 0.750 1
Pb1 Pb 0.061 0.136 0.932 1
```

=====

[2]
The following is a DFT calculation (PBE) of a relaxed CrN2 crystal.

## Properties
The total magnetization comes out at 0.00 μB per atom.

CIF file:
```
data_CrN2
_space_group_name_H-M_alt 'C 1 2/m 1'
_space_group_IT_number 12
_cell_length_a 10.461
_cell_length_b 33.556
_cell_length_c 7.991
_cell_angle_alpha 90.00
_cell_angle_beta 91.40
_cell_angle_gamma 90.00
loop_
_space_group_symop_operation_xyz
'x,y,z'
'-x,-y,-z'
'-x,y,-z'
'x,-y,z'
'x+1/2,y+1/2,z'
'-x+1/2,-y+1/2,-z'
'-x+1/2,y+1/2,-z'
'x+1/2,-y+1/2,z'
loop_
_atom_site_label
_atom_site_type_symbol
_atom_site_fract_x
_atom_site_fract_y
_atom_site_fract_z
_atom_site_occupancy
Cr1 Cr 0.000 0.082 0.000 1
Cr2 Cr 0.007 0.229 0.286 1
Cr3 Cr 0.124 0.049 0.368 1
Cr4 Cr 0.160 0.378 0.524 1
Cr5 Cr 0.194 0.153 0.835 1
Cr6 Cr 0.197 0.302 0.816 1
N1 N 0.000 0.060 0.500 1
N2 N 0.000 0.234 0.500 1
N3 N 0.000 0.390 0.500 1
N4 N 0.066 0.269 0.801 1
N5 N 0.071 0.055 0.164 1
N6 N 0.081 0.187 0.771 1
N7 N 0.119 0.111 0.920 1
N8 N 0.167 0.224 0.226 1
N9 N 0.169 0.000 0.400 1
N10 N 0.175 0.340 0.670 1
N11 N 0.211 0.324 0.010 1
N12 N 0.218 0.361 0.335 1
N13 N 0.250 0.082 0.407 1
```

=====

Computed values of calculated formation energy (unit: meV/atom) for the preceding records, in sequence: -217.1 -91.0.